Record 1
Density functional theory data (PBE+U) for an optimized crystal structure of Mo12PH24C6N3O40.

Cell: 12.8956 12.8956 12.8956 Å, 81.15 81.15 81.15°
Last column: nearest neighbours and their distance in Å.
Element x y z (fractional)
Mo1 0.6982 0.9215 0.9215  1 O 1.72
Mo2 0.9215 0.6982 0.9215  1 O 1.72
Mo3 0.9215 0.9215 0.6982  1 O 1.72
Mo4 0.3018 0.0785 0.0785  1 O 1.72
Mo5 0.0785 0.3018 0.0785  1 O 1.72
Mo6 0.0785 0.0785 0.3018  1 O 1.72
Mo7 0.5188 0.9501 0.7425  1 O 1.72
Mo8 0.7425 0.5188 0.9501  1 O 1.72
Mo9 0.9501 0.7425 0.5188  1 O 1.72
Mo10 0.7425 0.9501 0.5188  1 O 1.72
Mo11 0.5188 0.7425 0.9501  1 O 1.72
Mo12 0.9501 0.5188 0.7425  1 O 1.72
Mo13 0.4812 0.0499 0.2575  1 O 1.72
Mo14 0.2575 0.4812 0.0499  1 O 1.72
Mo15 0.0499 0.2575 0.4812  1 O 1.72
Mo16 0.2575 0.0499 0.4812  1 O 1.72
Mo17 0.4812 0.2575 0.0499  1 O 1.72
Mo18 0.0499 0.4812 0.2575  1 O 1.72
Mo19 0.5479 0.7547 0.5479  1 O 1.71
Mo20 0.5479 0.5479 0.7547  1 O 1.71
Mo21 0.7547 0.5479 0.5479  1 O 1.71
Mo22 0.4521 0.2453 0.4521  1 O 1.71
Mo23 0.4521 0.4521 0.2453  1 O 1.71
Mo24 0.2453 0.4521 0.4521  1 O 1.71
P1 0.7346 0.7346 0.7346  4 O 1.55
P2 0.2654 0.2654 0.2654  4 O 1.55
H1 0.2909 0.1921 0.6687  1 N 1.04
H2 0.6687 0.2909 0.1921  1 N 1.04
H3 0.1921 0.6687 0.2909  1 N 1.04
H4 0.6687 0.1921 0.2909  1 N 1.04
H5 0.2909 0.6687 0.1921  1 N 1.04
H6 0.1921 0.2909 0.6687  1 N 1.04
H7 0.7091 0.8079 0.3313  1 N 1.04
H8 0.3313 0.7091 0.8079  1 N 1.04
H9 0.8079 0.3313 0.7091  1 N 1.04
H10 0.3313 0.8079 0.7091  1 N 1.04
H11 0.7091 0.3313 0.8079  1 N 1.04
H12 0.8079 0.7091 0.3313  1 N 1.04
H13 0.1275 0.1275 0.7404  1 C 1.10
H14 0.7404 0.1275 0.1275  1 C 1.10
H15 0.1275 0.7404 0.1275  1 C 1.10
H16 0.8725 0.8725 0.2596  1 C 1.10
H17 0.2596 0.8725 0.8725  1 C 1.10
H18 0.8725 0.2596 0.8725  1 C 1.10
H19 0.2163 0.1090 0.8388  1 C 1.10
H20 0.8388 0.2163 0.1090  1 C 1.10
H21 0.1090 0.8388 0.2163  1 C 1.10
H22 0.8388 0.1090 0.2163  1 C 1.10
H23 0.2163 0.8388 0.1090  1 C 1.10
H24 0.1090 0.2163 0.8388  1 C 1.10
H25 0.7837 0.8910 0.1612  1 C 1.10
H26 0.1612 0.7837 0.8910  1 C 1.10
H27 0.8910 0.1612 0.7837  1 C 1.10
H28 0.1612 0.8910 0.7837  1 C 1.10
H29 0.7837 0.1612 0.8910  1 C 1.10
H30 0.8910 0.7837 0.1612  1 C 1.10
H31 0.3460 0.3460 0.7148  1 C 1.10
H32 0.7148 0.3460 0.3460  1 C 1.10
H33 0.3460 0.7148 0.3460  1 C 1.10
H34 0.6540 0.6540 0.2852  1 C 1.10
H35 0.2852 0.6540 0.6540  1 C 1.10
H36 0.6540 0.2852 0.6540  1 C 1.10
H37 0.2402 0.3474 0.8235  1 C 1.10
H38 0.8235 0.2402 0.3474  1 C 1.10
H39 0.3474 0.8235 0.2402  1 C 1.10
H40 0.8235 0.3474 0.2402  1 C 1.10
H41 0.2402 0.8235 0.3474  1 C 1.10
H42 0.3474 0.2402 0.8235  1 C 1.10
H43 0.7598 0.6526 0.1765  1 C 1.10
H44 0.1765 0.7598 0.6526  1 C 1.10
H45 0.6526 0.1765 0.7598  1 C 1.10
H46 0.1765 0.6526 0.7598  1 C 1.10
H47 0.7598 0.1765 0.6526  1 C 1.10
H48 0.6526 0.7598 0.1765  1 C 1.10
C1 0.1672 0.1672 0.7894  3 H 1.10
C2 0.7894 0.1672 0.1672  3 H 1.10
C3 0.1672 0.7894 0.1672  3 H 1.10
C4 0.8328 0.8328 0.2106  3 H 1.10
C5 0.2106 0.8328 0.8328  3 H 1.10
C6 0.8328 0.2106 0.8328  3 H 1.10
C7 0.2973 0.2973 0.7741  3 H 1.10
C8 0.7741 0.2973 0.2973  3 H 1.10
C9 0.2973 0.7741 0.2973  3 H 1.10
C10 0.7027 0.7027 0.2259  3 H 1.10
C11 0.2259 0.7027 0.7027  3 H 1.10
C12 0.7027 0.2259 0.7027  3 H 1.10
N1 0.2375 0.2375 0.7176  2 H 1.04
N2 0.7176 0.2375 0.2375  2 H 1.04
N3 0.2375 0.7176 0.2375  2 H 1.04
N4 0.7625 0.7625 0.2824  2 H 1.04
N5 0.2824 0.7625 0.7625  2 H 1.04
N6 0.7625 0.2824 0.7625  2 H 1.04
O1 0.7130 0.0065 0.0065  1 Mo 1.72
O2 0.0065 0.7130 0.0065  1 Mo 1.72
O3 0.0065 0.0065 0.7130  1 Mo 1.72
O4 0.2870 0.9935 0.9935  1 Mo 1.72
O5 0.9935 0.2870 0.9935  1 Mo 1.72
O6 0.9935 0.9935 0.2870  1 Mo 1.72
O7 0.8022 0.8022 0.9582  2 Mo 1.93
O8 0.9582 0.8022 0.8022  2 Mo 1.93
O9 0.8022 0.9582 0.8022  2 Mo 1.93
O10 0.1978 0.1978 0.0418  2 Mo 1.93
O11 0.0418 0.1978 0.1978  2 Mo 1.93
O12 0.1978 0.0418 0.1978  2 Mo 1.93
O13 0.5884 0.0024 0.8428  2 Mo 1.94-1.95
O14 0.8428 0.5884 0.0024  2 Mo 1.94-1.95
O15 0.0024 0.8428 0.5884  2 Mo 1.94-1.95
O16 0.8428 0.0024 0.5884  2 Mo 1.94-1.95
O17 0.5884 0.8428 0.0024  2 Mo 1.94-1.95
O18 0.0024 0.5884 0.8428  2 Mo 1.94-1.95
O19 0.4116 0.9976 0.1572  2 Mo 1.94-1.95
O20 0.1572 0.4116 0.9976  2 Mo 1.94-1.95
O21 0.9976 0.1572 0.4116  2 Mo 1.94-1.95
O22 0.1572 0.9976 0.4116  2 Mo 1.94-1.95
O23 0.4116 0.1572 0.9976  2 Mo 1.94-1.95
O24 0.9976 0.4116 0.1572  2 Mo 1.94-1.95
O25 0.6321 0.9843 0.6321  2 Mo 1.93
O26 0.6321 0.6321 0.9843  2 Mo 1.93
O27 0.9843 0.6321 0.6321  2 Mo 1.93
O28 0.3679 0.0157 0.3679  2 Mo 1.93
O29 0.3679 0.3679 0.0157  2 Mo 1.93
O30 0.0157 0.3679 0.3679  2 Mo 1.93
O31 0.4513 0.8623 0.8623  2 Mo 1.94
O32 0.8623 0.4513 0.8623  2 Mo 1.94
O33 0.8623 0.8623 0.4513  2 Mo 1.94
O34 0.5487 0.1377 0.1377  2 Mo 1.94
O35 0.1377 0.5487 0.1377  2 Mo 1.94
O36 0.1377 0.1377 0.5487  2 Mo 1.94
O37 0.4183 0.0515 0.7208  1 Mo 1.72
O38 0.7208 0.4183 0.0515  1 Mo 1.72
O39 0.0515 0.7208 0.4183  1 Mo 1.72
O40 0.7208 0.0515 0.4183  1 Mo 1.72
O41 0.4183 0.7208 0.0515  1 Mo 1.72
O42 0.0515 0.4183 0.7208  1 Mo 1.72
O43 0.5817 0.9485 0.2792  1 Mo 1.72
O44 0.2792 0.5817 0.9485  1 Mo 1.72
O45 0.9485 0.2792 0.5817  1 Mo 1.72
O46 0.2792 0.9485 0.5817  1 Mo 1.72
O47 0.5817 0.2792 0.9485  1 Mo 1.72
O48 0.9485 0.5817 0.2792  1 Mo 1.72
O49 0.4954 0.8493 0.6531  2 Mo 1.94-1.95
O50 0.6531 0.4954 0.8493  2 Mo 1.94-1.95
O51 0.8493 0.6531 0.4954  2 Mo 1.94-1.95
O52 0.6531 0.8493 0.4954  2 Mo 1.94-1.95
O53 0.4954 0.6531 0.8493  2 Mo 1.94-1.95
O54 0.8493 0.4954 0.6531  2 Mo 1.94-1.95
O55 0.5046 0.1507 0.3469  2 Mo 1.94-1.95
O56 0.3469 0.5046 0.1507  2 Mo 1.94-1.95
O57 0.1507 0.3469 0.5046  2 Mo 1.94-1.95
O58 0.3469 0.1507 0.5046  2 Mo 1.94-1.95
O59 0.5046 0.3469 0.1507  2 Mo 1.94-1.95
O60 0.1507 0.5046 0.3469  2 Mo 1.94-1.95
O61 0.6431 0.6431 0.4830  2 Mo 1.95
O62 0.4830 0.6431 0.6431  2 Mo 1.95
O63 0.6431 0.4830 0.6431  2 Mo 1.95
O64 0.3569 0.3569 0.5170  2 Mo 1.95
O65 0.5170 0.3569 0.3569  2 Mo 1.95
O66 0.3569 0.5170 0.3569  2 Mo 1.95
O67 0.4590 0.7897 0.4590  1 Mo 1.71
O68 0.4590 0.4590 0.7897  1 Mo 1.71
O69 0.7897 0.4590 0.4590  1 Mo 1.71
O70 0.5410 0.2103 0.5410  1 Mo 1.71
O71 0.5410 0.5410 0.2103  1 Mo 1.71
O72 0.2103 0.5410 0.5410  1 Mo 1.71
O73 0.6542 0.8050 0.8050  1 P 1.55
O74 0.8050 0.6542 0.8050  1 P 1.55
O75 0.8050 0.8050 0.6542  1 P 1.55
O76 0.3458 0.1950 0.1950  1 P 1.55
O77 0.1950 0.3458 0.1950  1 P 1.55
O78 0.1950 0.1950 0.3458  1 P 1.55
O79 0.6740 0.6740 0.6740  1 P 1.55
O80 0.3260 0.3260 0.3260  1 P 1.55

**Formation enthalpy at 0 K**: -1.353 eV/atom
**M_tot**: 0.000 μB/atom
**V**: 2075 Å³ per cell
**SG**: R-3m


Record 2
Density functional theory data (PBE+U) for an optimized crystal structure of NaNiO2.

Cell: 3.0489 5.0674 10.6543 Å, 90.00 90.00 85.62°
Last column: nearest neighbours and their distance in Å.
Element x y z (fractional)
Na1 0.4787 0.1541 0.2500  6 O 2.35-2.38
Na2 0.9787 0.6541 0.2500  6 O 2.35-2.38
Na3 0.0213 0.3459 0.7500  6 O 2.35-2.38
Na4 0.5213 0.8459 0.7500  6 O 2.35-2.38
Ni1 0.4999 0.5002 0.5000  4 O 1.92
Ni2 0.0001 0.9999 0.0000  4 O 1.92
Ni3 0.0001 0.9999 0.5000  4 O 1.92
Ni4 0.4999 0.5001 0.0000  4 O 1.92
O1 0.9591 0.3190 0.4019  2 Ni 1.92
O2 0.4591 0.8189 0.4020  2 Ni 1.92
O3 0.5409 0.1810 0.5981  2 Ni 1.92
O4 0.0410 0.6811 0.5980  2 Ni 1.92
O5 0.5408 0.1811 0.9020  2 Ni 1.92
O6 0.0409 0.6811 0.9020  2 Ni 1.92
O7 0.9592 0.3189 0.0981  2 Ni 1.92
O8 0.4591 0.8189 0.0980  2 Ni 1.92

**Formation enthalpy at 0 K**: -1.325 eV/atom
**M_tot**: 0.250 μB/atom
**V**: 164 Å³ per cell


Record 3
Density functional theory data (PBE+U) for an optimized crystal structure of YCr2O2.

Cell: 9.4770 9.4770 9.4770 Å, 140.52 140.52 57.06°
Last column: nearest neighbours and their distance in Å.
Element x y z (fractional)
Y1 0.8750 0.1250 0.2500  4 O 2.28
Y2 0.8750 0.6250 0.7500  4 O 2.28
Y3 0.3750 0.1250 0.2500  4 O 2.28
Y4 0.8750 0.1250 0.7500  4 O 2.28
Cr1 0.4564 0.1849 0.7285  1 O 2.17
Cr2 0.4564 0.7279 0.2715  1 O 2.17
Cr3 0.4779 0.7064 0.7715  1 O 2.17
Cr4 0.2936 0.5221 0.2285  1 O 2.17
Cr5 0.2936 0.0651 0.7715  1 O 2.17
Cr6 0.9349 0.7064 0.2285  1 O 2.17
Cr7 0.2721 0.5436 0.7285  1 O 2.17
Cr8 0.8151 0.5436 0.2715  1 O 2.17
O1 0.5870 0.3215 0.7345  1 Cr 2.17, 2 Y 2.28
O2 0.5870 0.8525 0.2655  1 Cr 2.17, 2 Y 2.28
O3 0.6025 0.8370 0.7655  1 Cr 2.17, 2 Y 2.28
O4 0.1630 0.3975 0.2345  1 Cr 2.17, 2 Y 2.28
O5 0.1630 0.9285 0.7655  1 Cr 2.17, 2 Y 2.28
O6 0.0715 0.8370 0.2345  1 Cr 2.17, 2 Y 2.28
O7 0.1475 0.4130 0.7345  1 Cr 2.17, 2 Y 2.28
O8 0.6785 0.4130 0.2655  1 Cr 2.17, 2 Y 2.28

**Formation enthalpy at 0 K**: -1.329 eV/atom
**M_tot**: 2.000 μB/atom
**V**: 341 Å³ per cell
**SG**: I4_1/amd


Record 4
Density functional theory data (PBE+U) for an optimized crystal structure of DyWO5.

Cell: 5.3048 6.5888 12.7217 Å, 90.00 90.00 109.03°
Last column: nearest neighbours and their distance in Å.
Element x y z (fractional)
Dy1 0.1461 0.7841 0.4443  8 O 2.29-2.46
Dy2 0.8539 0.2159 0.5557  8 O 2.29-2.46
Dy3 0.3539 0.7159 0.9443  8 O 2.29-2.46
Dy4 0.6461 0.2841 0.0557  8 O 2.29-2.46
W1 0.9548 0.8464 0.1392  4 O 1.80-1.91
W2 0.0452 0.1536 0.8608  4 O 1.80-1.91
W3 0.5452 0.6536 0.6392  4 O 1.80-1.91
W4 0.4548 0.3464 0.3608  4 O 1.80-1.91
O1 0.0450 0.5638 0.0886  1 W 2.17, 1 Dy 2.35, 2 O 2.39-2.40
O2 0.9550 0.4362 0.9114  1 W 2.17, 1 Dy 2.35, 2 O 2.39-2.40
O3 0.4550 0.9362 0.5886  1 W 2.17, 1 Dy 2.35, 2 O 2.39-2.40
O4 0.5450 0.0638 0.4114  1 W 2.17, 1 Dy 2.35, 2 O 2.39-2.40
O5 0.8532 0.8434 0.5708  1 W 1.91
O6 0.1468 0.1566 0.4292  1 W 1.91
O7 0.6468 0.6566 0.0708  1 W 1.91
O8 0.3532 0.3434 0.9292  1 W 1.91
O9 0.2714 0.9724 0.0647  1 W 1.87
O10 0.7286 0.0276 0.9353  1 W 1.87
O11 0.2286 0.5276 0.5647  1 W 1.87
O12 0.7714 0.4724 0.4353  1 W 1.87
O13 0.9987 0.7927 0.2752  1 W 1.80
O14 0.0013 0.2073 0.7248  1 W 1.80
O15 0.5013 0.7073 0.7752  1 W 1.80
O16 0.4987 0.2927 0.2248  1 W 1.80
O17 0.1578 0.9224 0.8516  1 W 1.81
O18 0.8422 0.0776 0.1484  1 W 1.81
O19 0.3422 0.5776 0.3516  1 W 1.81
O20 0.6578 0.4224 0.6484  1 W 1.81

**Formation enthalpy at 0 K**: -2.618 eV/atom
**M_tot**: 0.143 μB/atom
**V**: 420 Å³ per cell
**SG**: P2_1/c